First-principles (PBE-GGA) data for an optimized crystal structure of TmSnIr, as listed in the Materials Project database.

Its total energy is -59.7 eV for the cell shown. For the formation energy, the calculation gives -0.86 eV/atom.

Cell and atoms, written as POSCAR:
```
TmSnIr
1.0
7.542 0.000 0.000
-3.771 6.532 0.000
0.000 0.000 3.813
Tm Sn Ir
3 3 3
Direct
0.000 0.598 0.000
0.402 0.402 0.000
0.598 0.000 0.000
0.000 0.264 0.500
0.264 0.000 0.500
0.736 0.736 0.500
0.000 0.000 0.000
0.333 0.667 0.500
0.667 0.333 0.500
```



First-principles (PBE-GGA) data for an optimized crystal structure of Ba4Tb2Cd3S10, as listed in the Materials Project database.

Its total energy is -184.1 eV for the cell shown. For the formation energy, the calculation gives -1.89 eV/atom.

Cell and atoms, written as POSCAR:
```
Ba4Tb2Cd3S10
1.0
2.095 -9.135 0.000
2.095 9.135 0.000
0.000 0.000 26.943
Ba Tb Cd S
8 4 6 20
Direct
0.076 0.924 0.500
0.095 0.905 0.317
0.337 0.663 0.545
0.338 0.662 0.266
0.662 0.338 0.766
0.663 0.337 0.045
0.905 0.095 0.817
0.924 0.076 0.000
0.003 0.997 0.156
0.421 0.579 0.403
0.579 0.421 0.903
0.997 0.003 0.656
0.283 0.717 0.924
0.341 0.659 0.694
0.346 0.654 0.112
0.654 0.346 0.612
0.659 0.341 0.194
0.717 0.283 0.424
0.076 0.924 0.836
0.089 0.911 0.972
0.150 0.850 0.667
0.153 0.847 0.137
0.270 0.730 0.390
0.289 0.711 0.778
0.293 0.707 0.025
0.427 0.573 0.909
0.484 0.516 0.723
0.489 0.511 0.086
0.511 0.489 0.586
0.516 0.484 0.223
0.573 0.427 0.409
0.707 0.293 0.525
0.711 0.289 0.278
0.730 0.270 0.890
0.847 0.153 0.637
0.850 0.150 0.167
0.911 0.089 0.472
0.924 0.076 0.336
```